Record 1
{"formula": "AlSe2NO8", "functional": "GGA-PBE", "state": "relaxed", "sg": "No. 150", "e_tot_ev_per_cell": -63.33, "total_magnetization_mub_per_fu": 2.0, "e_form_ev_per_atom": -0.8472, "lattice_angstrom": [[-2.5337, -4.3885, 0.0000], [-2.5337, 4.3885, 0.0000], [0.0000, 0.0000, -8.9298]], "species": ["Al", "Se", "Se", "N", "O", "O", "O", "O", "O", "O", "O", "O"], "fractional_positions": [[0.0000, 0.0000, 0.0000], [0.6667, 0.3333, 0.7986], [0.3333, 0.6667, 0.2014], [0.0000, 0.0000, 0.5000], [0.9270, 0.2503, 0.8649], [0.3233, 0.0730, 0.8649], [0.6767, 0.7497, 0.1351], [0.7497, 0.6767, 0.8649], [0.2503, 0.9270, 0.1351], [0.0730, 0.3233, 0.1351], [0.6667, 0.3333, 0.6156], [0.3333, 0.6667, 0.3844]]}

Record 2
{"formula": "Sr10Sm6Al6Si30N54O7", "functional": "GGA-PBE", "state": "relaxed", "sg": "No. 42", "e_tot_ev_per_cell": -879.09, "total_magnetization_mub_per_fu": 0.0, "e_form_ev_per_atom": -1.4925, "lattice_angstrom": [[-3.1921, -4.5538, -8.1731], [-3.2456, -3.0286, 8.8329], [-9.5859, 14.5753, -1.3373]], "species": ["Sr", "Sr", "Sr", "Sr", "Sr", "Sr", "Sr", "Sr", "Sr", "Sr", "Sm", "Sm", "Sm", "Sm", "Sm", "Sm", "Al", "Al", "Al", "Al", "Al", "Al", "Si", "Si", "Si", "Si", "Si", "Si", "Si", "Si", "Si", "Si", "Si", "Si", "Si", "Si", "Si", "Si", "Si", "Si", "Si", "Si", "Si", "Si", "Si", "Si", "Si", "Si", "Si", "Si", "Si", "Si", "N", "N", "N", "N", "N", "N", "N", "N", "N", "N", "N", "N", "N", "N", "N", "N", "N", "N", "N", "N", "N", "N", "N", "N", "N", "N", "N", "N", "N", "N", "N", "N", "N", "N", "N", "N", "N", "N", "N", "N", "N", "N", "N", "N", "N", "N", "N", "N", "N", "N", "N", "N", "N", "N", "O", "O", "O", "O", "O", "O", "O"], "fractional_positions": [[0.0173, 0.3391, 0.0000], [0.3391, 0.0173, 0.0000], [0.6845, 0.3556, 0.6973], [0.3211, 0.3211, 0.2940], [0.8630, 0.8630, 0.0000], [0.9872, 0.6583, 0.3027], [0.0270, 0.0270, 0.7060], [0.3556, 0.6845, 0.6973], [0.6583, 0.9872, 0.3027], [0.4918, 0.4918, 0.0000], [0.6820, 0.6820, 0.3924], [0.6645, 0.6645, 0.6139], [0.2897, 0.2897, 0.6076], [0.9416, 0.4416, 0.5000], [0.0507, 0.0507, 0.3861], [0.4416, 0.9416, 0.5000], [0.0888, 0.4418, 0.1795], [0.9092, 0.2623, 0.8205], [0.2398, 0.2398, 0.1077], [0.4418, 0.0888, 0.1795], [0.1321, 0.1321, 0.8923], [0.2623, 0.9092, 0.8205], [0.7834, 0.4750, 0.9048], [0.8617, 0.0438, 0.5284], [0.4750, 0.7834, 0.9048], [0.6209, 0.1272, 0.9028], [0.9268, 0.7501, 0.8207], [0.2243, 0.7180, 0.0972], [0.0271, 0.3473, 0.3371], [0.1061, 0.9294, 0.1793], [0.3323, 0.6791, 0.3418], [0.5154, 0.3333, 0.4716], [0.8787, 0.5703, 0.0952], [0.7180, 0.2243, 0.0972], [0.6900, 0.0102, 0.6629], [0.6118, 0.4336, 0.1907], [0.6791, 0.3323, 0.3418], [0.3374, 0.9906, 0.6582], [0.7758, 0.7758, 0.1931], [0.5703, 0.8787, 0.0952], [0.7501, 0.9268, 0.8207], [0.3473, 0.0271, 0.3371], [0.1272, 0.6209, 0.9028], [0.4336, 0.6118, 0.1907], [0.0102, 0.6900, 0.6629], [0.3333, 0.5154, 0.4716], [0.9294, 0.1061, 0.1793], [0.0438, 0.8617, 0.5284], [0.4212, 0.2430, 0.8093], [0.5827, 0.5827, 0.8069], [0.9906, 0.3374, 0.6582], [0.2430, 0.4212, 0.8093], [0.0067, 0.5152, 0.6515], [0.1047, 0.9315, 0.8608], [0.1397, 0.3564, 0.4267], [0.5152, 0.0067, 0.6515], [0.0350, 0.0350, 0.5505], [0.8979, 0.4112, 0.1175], [0.2759, 0.2759, 0.8419], [0.1432, 0.6322, 0.0000], [0.3552, 0.8637, 0.3485], [0.7804, 0.2936, 0.8825], [0.6322, 0.1432, 0.0000], [0.9173, 0.9173, 0.1531], [0.6600, 0.4690, 0.2938], [0.8508, 0.2122, 0.7089], [0.2415, 0.9250, 0.5584], [0.3662, 0.1752, 0.7062], [0.7130, 0.9297, 0.5733], [0.6065, 0.9395, 0.8651], [0.6831, 0.3666, 0.4416], [0.8823, 0.6964, 0.7192], [0.0745, 0.7415, 0.1349], [0.9297, 0.7130, 0.5733], [0.0707, 0.2438, 0.1392], [0.2122, 0.8508, 0.7089], [0.6964, 0.8823, 0.7192], [0.7631, 0.5940, 0.1601], [0.9250, 0.2415, 0.5584], [0.5846, 0.2548, 0.1414], [0.6030, 0.4338, 0.8399], [0.4338, 0.6030, 0.8399], [0.7829, 0.5529, 0.0000], [0.2548, 0.5846, 0.1414], [0.1419, 0.5033, 0.2911], [0.4431, 0.1134, 0.8586], [0.1752, 0.3662, 0.7062], [0.2936, 0.7804, 0.8825], [0.5033, 0.1419, 0.2911], [0.9395, 0.6065, 0.8651], [0.4340, 0.4340, 0.1581], [0.9773, 0.1631, 0.2808], [0.3666, 0.6831, 0.4416], [0.1134, 0.4431, 0.8586], [0.8637, 0.3552, 0.3485], [0.1631, 0.9773, 0.2808], [0.5529, 0.7829, 0.0000], [0.4690, 0.6600, 0.2938], [0.9315, 0.1047, 0.8608], [0.4112, 0.8979, 0.1175], [0.7415, 0.0745, 0.1349], [0.5940, 0.7631, 0.1601], [0.7642, 0.7642, 0.8469], [0.2438, 0.0707, 0.1392], [0.4845, 0.4845, 0.4495], [0.3564, 0.1397, 0.4267], [0.5437, 0.3638, 0.5712], [0.8203, 0.8203, 0.2905], [0.9725, 0.7926, 0.4288], [0.2154, 0.2154, 0.0000], [0.7926, 0.9725, 0.4288], [0.3638, 0.5437, 0.5712], [0.5298, 0.5298, 0.7094]]}

Record 3
{"formula": "SrAl4Si2N8O", "functional": "GGA-PBE", "state": "relaxed", "sg": "No. 44", "e_tot_ev_per_cell": -113.50, "total_magnetization_mub_per_fu": 4.0, "e_form_ev_per_atom": -0.9392, "lattice_angstrom": [[-2.6087, 4.2462, 5.1141], [2.6087, -4.2462, 5.1141], [2.6087, 4.2462, -5.1141]], "species": ["Sr", "Al", "Al", "Al", "Al", "Si", "Si", "N", "N", "N", "N", "N", "N", "N", "N", "O"], "fractional_positions": [[0.5000, 0.2248, 0.7248], [0.6399, 0.4126, 0.3910], [0.3601, 0.7512, 0.7727], [0.9785, 0.7512, 0.3910], [0.0215, 0.4126, 0.7727], [0.1583, 0.2400, 0.0817], [0.8417, 0.9234, 0.0817], [0.6170, 0.7047, 0.7611], [0.3830, 0.1441, 0.0877], [0.0564, 0.1441, 0.7611], [0.9436, 0.7047, 0.0877], [0.2714, 0.5398, 0.8113], [0.7286, 0.5398, 0.2684], [0.1893, 0.5959, 0.4066], [0.8107, 0.2173, 0.4066], [0.0000, 0.0265, 0.0265]]}

Record 4
{"formula": "SrAl2SiN2O3", "functional": "GGA-PBE", "state": "relaxed", "sg": "No. 19", "e_tot_ev_per_cell": -267.76, "piezo_max_c_m2": 0.3, "total_magnetization_mub_per_fu": 0.0, "e_form_ev_per_atom": -2.5420, "lattice_angstrom": [[4.9796, 0.0000, 0.0000], [0.0000, 8.1287, 0.0000], [0.0000, 0.0000, 11.4330]], "species": ["Sr", "Sr", "Sr", "Sr", "Al", "Al", "Al", "Al", "Al", "Al", "Al", "Al", "Si", "Si", "Si", "Si", "N", "N", "N", "N", "N", "N", "N", "N", "O", "O", "O", "O", "O", "O", "O", "O", "O", "O", "O", "O"], "fractional_positions": [[0.5112, 0.0407, 0.1624], [0.0112, 0.4593, 0.8376], [0.9888, 0.9593, 0.6624], [0.4888, 0.5407, 0.3376], [0.4996, 0.6637, 0.6613], [0.9996, 0.8363, 0.3387], [0.9889, 0.5283, 0.5428], [0.5004, 0.1637, 0.8387], [0.0004, 0.3363, 0.1613], [0.4889, 0.9717, 0.4572], [0.5111, 0.4717, 0.0428], [0.0111, 0.0283, 0.9572], [0.9942, 0.7017, 0.0746], [0.5058, 0.2983, 0.5746], [0.4942, 0.7983, 0.9254], [0.0058, 0.2017, 0.4254], [0.2942, 0.1574, 0.5067], [0.2058, 0.8426, 0.0067], [0.3355, 0.4818, 0.5936], [0.7058, 0.6574, 0.9933], [0.8355, 0.0182, 0.4064], [0.1645, 0.5182, 0.0936], [0.7942, 0.3426, 0.4933], [0.6645, 0.9818, 0.9064], [0.6487, 0.3689, 0.1679], [0.1487, 0.1311, 0.8321], [0.3513, 0.8689, 0.3321], [0.1254, 0.2913, 0.3038], [0.8746, 0.7913, 0.1962], [0.0439, 0.1522, 0.0833], [0.5439, 0.3478, 0.9167], [0.3746, 0.7087, 0.8038], [0.9561, 0.6522, 0.4167], [0.8513, 0.6311, 0.6679], [0.4561, 0.8478, 0.5833], [0.6254, 0.2087, 0.6962]]}